(1)
Below is crystalline RbPrSe2O13 at its relaxed geometry, with properties calculated at the PBE level.

Results
- MP2020-corrected energy: -5.45 eV per atom
- ΔH_f (0 K): -0.912 eV per atom

abc: 6.6760 9.6267 19.4648
angles: 90.00 97.56 90.00
Atoms (fractional coordinates):
Rb1 0.1887 0.0198 0.3693
Rb2 0.1887 0.4802 0.8693
Rb3 0.8113 0.5198 0.1307
Rb4 0.8113 0.9802 0.6307
Pr1 0.2549 0.0811 0.1336
Pr2 0.2549 0.4189 0.6336
Pr3 0.7451 0.5811 0.3664
Pr4 0.7451 0.9189 0.8664
Se1 0.1507 0.7184 0.5119
Se2 0.1507 0.7816 0.0119
Se3 0.3634 0.7494 0.2331
Se4 0.3634 0.7506 0.7331
Se5 0.6366 0.2494 0.2669
Se6 0.6366 0.2506 0.7669
Se7 0.8493 0.2184 0.9881
Se8 0.8493 0.2816 0.4881
O1 0.0192 0.2468 0.4361
O2 0.0192 0.2532 0.9361
O3 0.0269 0.6722 0.4319
O4 0.0269 0.8278 0.9319
O5 0.0331 0.2388 0.1934
O6 0.0331 0.2612 0.6934
O7 0.1524 0.6513 0.2285
O8 0.1524 0.8487 0.7285
O9 0.1630 0.0434 0.8411
O10 0.1630 0.4566 0.3411
O11 0.2806 0.5748 0.5422
O12 0.2806 0.9252 0.0422
O13 0.2952 0.5809 0.7245
O14 0.2952 0.9191 0.2245
O15 0.3001 0.0759 0.5803
O16 0.3001 0.4241 0.0803
O17 0.3012 0.6525 0.9977
O18 0.3012 0.8475 0.4977
O19 0.3211 0.0188 0.8797
O20 0.3211 0.4812 0.3797
O21 0.3415 0.1838 0.5506
O22 0.3415 0.3162 0.0506
O23 0.4889 0.7342 0.3141
O24 0.4889 0.7658 0.8141
O25 0.4913 0.2068 0.3253
O26 0.4913 0.2932 0.8253
O27 0.5087 0.7068 0.1747
O28 0.5087 0.7932 0.6747
O29 0.5111 0.2342 0.1859
O30 0.5111 0.2658 0.6859
O31 0.6585 0.6838 0.9494
O32 0.6585 0.8162 0.4494
O33 0.6789 0.5188 0.6203
O34 0.6789 0.9812 0.1203
O35 0.6988 0.1525 0.5023
O36 0.6988 0.3475 0.0023
O37 0.6999 0.5759 0.9197
O38 0.6999 0.9241 0.4197
O39 0.7048 0.0809 0.7755
O40 0.7048 0.4191 0.2755
O41 0.7194 0.0748 0.9578
O42 0.7194 0.4252 0.4578
O43 0.8370 0.5434 0.6589
O44 0.8370 0.9566 0.1589
O45 0.8476 0.1513 0.2715
O46 0.8476 0.3487 0.7715
O47 0.9669 0.7388 0.3066
O48 0.9669 0.7612 0.8066
O49 0.9731 0.1722 0.0681
O50 0.9731 0.3278 0.5681
O51 0.9808 0.7468 0.0639
O52 0.9808 0.7532 0.5639



(2)
Below is crystalline Pr3Re2O9 at its relaxed geometry, with properties calculated at the PBE level.

Results
- MP2020-corrected energy: -8.99 eV per atom
- ΔH_f (0 K): -3.008 eV per atom

abc: 5.6667 6.8742 11.1532
angles: 77.11 75.59 69.10
Atoms (fractional coordinates):
Pr1 0.0026 0.2247 0.2707
Pr2 0.2215 0.1640 0.8819
Pr3 0.2836 0.5943 0.3800
Pr4 0.7164 0.4057 0.6200
Pr5 0.7785 0.8360 0.1181
Pr6 0.9974 0.7753 0.7293
Re1 0.3560 0.1224 0.5710
Re2 0.4902 0.6127 0.9085
Re3 0.5098 0.3873 0.0915
Re4 0.6440 0.8776 0.4290
O1 0.0621 0.1138 0.7117
O2 0.1098 0.2520 0.4610
O3 0.1445 0.8127 0.9364
O4 0.1755 0.5107 0.1904
O5 0.3036 0.4178 0.5901
O6 0.3594 0.4776 0.8151
O7 0.3725 0.8190 0.5778
O8 0.3832 0.1721 0.0714
O9 0.4140 0.9429 0.3120
O10 0.5860 0.0571 0.6880
O11 0.6168 0.8279 0.9286
O12 0.6275 0.1810 0.4222
O13 0.6406 0.5224 0.1849
O14 0.6964 0.5822 0.4099
O15 0.8245 0.4893 0.8096
O16 0.8555 0.1873 0.0636
O17 0.8902 0.7480 0.5390
O18 0.9379 0.8862 0.2883



(3)
Below is crystalline Pr3ReO7 at its relaxed geometry, with properties calculated at the PBE level.

Results
- MP2020-corrected energy: -8.80 eV per atom
- ΔH_f (0 K): -3.213 eV per atom

abc: 6.7073 6.7073 7.6874
angles: 90.00 90.00 68.59
Atoms (fractional coordinates):
Pr1 0.0000 0.0000 0.0000
Pr2 0.0000 0.0000 0.5000
Pr3 0.0809 0.4736 0.7500
Pr4 0.4736 0.0809 0.2500
Pr5 0.5264 0.9191 0.7500
Pr6 0.9191 0.5264 0.2500
Re1 0.5000 0.5000 0.0000
Re2 0.5000 0.5000 0.5000
O1 0.1062 0.1565 0.2500
O2 0.1565 0.1062 0.7500
O3 0.1906 0.5591 0.0374
O4 0.1906 0.5591 0.4626
O5 0.4232 0.5768 0.7500
O6 0.4409 0.8094 0.0374
O7 0.4409 0.8094 0.4626
O8 0.5591 0.1906 0.5374
O9 0.5591 0.1906 0.9626
O10 0.5768 0.4232 0.2500
O11 0.8094 0.4409 0.5374
O12 0.8094 0.4409 0.9626
O13 0.8435 0.8938 0.2500
O14 0.8938 0.8435 0.7500



(4)
Below is crystalline Pr4Re6O19 at its relaxed geometry, with properties calculated at the PBE level.

Results
- MP2020-corrected energy: -9.09 eV per atom
- ΔH_f (0 K): -2.618 eV per atom

abc: 7.8567 7.8567 7.8567
angles: 109.47 109.47 109.47
Atoms (fractional coordinates):
Pr1 0.0000 0.0000 0.3152
Pr2 0.0000 0.3152 0.0000
Pr3 0.3152 0.0000 0.0000
Pr4 0.6848 0.6848 0.6848
Re1 0.1330 0.5000 0.6330
Re2 0.3670 0.8670 0.5000
Re3 0.5000 0.3670 0.8670
Re4 0.5000 0.6330 0.1330
Re5 0.6330 0.1330 0.5000
Re6 0.8670 0.5000 0.3670
O1 0.0000 0.0000 0.0000
O2 0.0000 0.3204 0.3204
O3 0.0000 0.6796 0.6796
O4 0.0567 0.6965 0.3186
O5 0.2619 0.6398 0.9433
O6 0.3035 0.3602 0.6221
O7 0.3186 0.0567 0.6965
O8 0.3204 0.0000 0.3204
O9 0.3204 0.3204 0.0000
O10 0.3602 0.6221 0.3035
O11 0.3779 0.7381 0.6814
O12 0.6221 0.3035 0.3602
O13 0.6398 0.9433 0.2619
O14 0.6796 0.0000 0.6796
O15 0.6796 0.6796 0.0000
O16 0.6814 0.3779 0.7381
O17 0.6965 0.3186 0.0567
O18 0.7381 0.6814 0.3779
O19 0.9433 0.2619 0.6398



(5)
Below is crystalline PrRe3O16 at its relaxed geometry, with properties calculated at the PBE level.

Results
- MP2020-corrected energy: -7.45 eV per atom
- ΔH_f (0 K): -1.386 eV per atom

abc: 11.4443 7.4962 16.1791
angles: 90.00 93.69 90.00
Atoms (fractional coordinates):
Pr1 0.2058 0.1035 0.1581
Pr2 0.2058 0.3965 0.6581
Pr3 0.7942 0.6035 0.3419
Pr4 0.7942 0.8965 0.8419
Re1 0.0573 0.6194 0.1636
Re2 0.0573 0.8806 0.6636
Re3 0.1429 0.6292 0.4217
Re4 0.1429 0.8708 0.9217
Re5 0.4367 0.7234 0.5705
Re6 0.4367 0.7766 0.0705
Re7 0.5633 0.2234 0.9295
Re8 0.5633 0.2766 0.4295
Re9 0.8571 0.1292 0.0783
Re10 0.8571 0.3708 0.5783
Re11 0.9427 0.1194 0.3364
Re12 0.9427 0.3806 0.8364
O1 0.0023 0.1686 0.4341
O2 0.0023 0.3314 0.9341
O3 0.0108 0.1063 0.0889
O4 0.0108 0.3937 0.5889
O5 0.0563 0.1123 0.2680
O6 0.0563 0.3877 0.7680
O7 0.1334 0.0852 0.6620
O8 0.1334 0.4148 0.1620
O9 0.1544 0.7055 0.6933
O10 0.1544 0.7945 0.1933
O11 0.1770 0.6483 0.9070
O12 0.1770 0.8517 0.4070
O13 0.1983 0.5522 0.5216
O14 0.1983 0.9478 0.0216
O15 0.1992 0.5045 0.3435
O16 0.1992 0.9955 0.8435
O17 0.2590 0.2141 0.5300
O18 0.2590 0.2859 0.0300
O19 0.3247 0.0132 0.2989
O20 0.3247 0.4868 0.7989
O21 0.3509 0.5859 0.0799
O22 0.3509 0.9141 0.5799
O23 0.3859 0.5530 0.6380
O24 0.3859 0.9470 0.1380
O25 0.4172 0.2254 0.4010
O26 0.4172 0.2746 0.9010
O27 0.4230 0.2071 0.7147
O28 0.4230 0.2929 0.2147
O29 0.4265 0.6548 0.4676
O30 0.4265 0.8452 0.9676
O31 0.4821 0.7144 0.2802
O32 0.4821 0.7856 0.7802
O33 0.5179 0.2144 0.2198
O34 0.5179 0.2856 0.7198
O35 0.5735 0.1548 0.0324
O36 0.5735 0.3452 0.5324
O37 0.5770 0.7071 0.7853
O38 0.5770 0.7929 0.2853
O39 0.5828 0.7254 0.0990
O40 0.5828 0.7746 0.5990
O41 0.6141 0.0530 0.8620
O42 0.6141 0.4470 0.3620
O43 0.6491 0.0859 0.4201
O44 0.6491 0.4141 0.9201
O45 0.6753 0.5132 0.2011
O46 0.6753 0.9868 0.7011
O47 0.7410 0.7141 0.9700
O48 0.7410 0.7859 0.4700
O49 0.8008 0.0045 0.1565
O50 0.8008 0.4955 0.6565
O51 0.8017 0.0522 0.9784
O52 0.8017 0.4478 0.4784
O53 0.8230 0.1483 0.5930
O54 0.8230 0.3517 0.0930
O55 0.8456 0.2055 0.8067
O56 0.8456 0.2945 0.3067
O57 0.8666 0.5852 0.8380
O58 0.8666 0.9148 0.3380
O59 0.9437 0.6123 0.2320
O60 0.9437 0.8877 0.7320
O61 0.9892 0.6063 0.4111
O62 0.9892 0.8937 0.9111
O63 0.9977 0.6686 0.0659
O64 0.9977 0.8314 0.5659



(6)
Below is crystalline Pr5Ru2O12 at its relaxed geometry, with properties calculated at the PBE level.

Results
- MP2020-corrected energy: -8.38 eV per atom
- ΔH_f (0 K): -3.022 eV per atom

abc: 7.1250 7.1250 7.7438
angles: 105.77 105.77 50.04
Atoms (fractional coordinates):
Pr1 0.0000 0.0000 0.0000
Pr2 0.3066 0.3066 0.1424
Pr3 0.3093 0.3093 0.6672
Pr4 0.6907 0.6907 0.3328
Pr5 0.6934 0.6934 0.8576
Ru1 0.2349 0.7651 0.5000
Ru2 0.7651 0.2349 0.5000
O1 0.0009 0.0009 0.6851
O2 0.0960 0.5860 0.4215
O3 0.0955 0.5949 0.9221
O4 0.4051 0.9045 0.0779
O5 0.4140 0.9040 0.5785
O6 0.4998 0.4998 0.3290
O7 0.5002 0.5002 0.6710
O8 0.5860 0.0960 0.4215
O9 0.5949 0.0955 0.9221
O10 0.9045 0.4051 0.0779
O11 0.9040 0.4140 0.5785
O12 0.9991 0.9991 0.3149



Q: The lowest ΔH_f (0 K) belongs to which entry?
A: Pr3ReO7



Q: Which formula does entry 1 have?
A: RbPrSe2O13